{"formula": "RbMg6B", "functional": "PBE", "state": "optimized geometry", "crystal_system": "orthorhombic", "polymorph_energy_ev_per_atom": 0.000, "sg": "Amm2, No. 38", "lattice": [[3.4242, 0.0000, 0.0000], [0.0000, 4.2296, 7.1806], [0.0000, -4.2296, 7.1806]], "species": ["Rb", "Mg", "Mg", "Mg", "Mg", "Mg", "Mg", "B"], "frac_coords": [[0.0000, 0.0000, 0.0000], [0.0000, 0.4521, 0.4521], [0.0000, 0.6043, 0.9727], [0.0000, 0.9727, 0.6043], [0.5000, 0.2555, 0.2555], [0.5000, 0.4530, 0.7885], [0.5000, 0.7885, 0.4530], [0.5000, 0.7575, 0.7575]]}



{"formula": "La4Ti5S12O2", "functional": "PBE", "state": "optimized geometry", "crystal_system": "monoclinic", "sg": "Pm, No. 6", "lattice": [[10.3634, 0.0000, 0.0000], [0.0000, 8.4756, 0.0000], [-0.0108, 0.0000, 10.3657]], "species": ["La", "La", "La", "La", "La", "La", "La", "La", "Ti", "Ti", "Ti", "Ti", "Ti", "Ti", "Ti", "Ti", "Ti", "Ti", "S", "S", "S", "S", "S", "S", "S", "S", "S", "S", "S", "S", "S", "S", "S", "S", "S", "S", "S", "S", "S", "S", "S", "S", "O", "O", "O", "O"], "frac_coords": [[0.0000, 0.2345, 0.0000], [0.0000, 0.7655, 0.0000], [0.4158, 0.2367, 0.0034], [0.4158, 0.7633, 0.0034], [0.4181, 0.2405, 0.5763], [0.4181, 0.7595, 0.5763], [0.9969, 0.2374, 0.5835], [0.9969, 0.7626, 0.5835], [0.0709, 0.5000, 0.2934], [0.1926, 0.5000, 0.8045], [0.2118, 0.0000, 0.2918], [0.5012, 0.0000, 0.2900], [0.6849, 0.5000, 0.8930], [0.7056, 0.5000, 0.2946], [0.7069, 0.0000, 0.7899], [0.7084, 0.0000, 0.0887], [0.7084, 0.0000, 0.4984], [0.9114, 0.0000, 0.2912], [0.0570, 0.2157, 0.2907], [0.0570, 0.7843, 0.2907], [0.1988, 0.5000, 0.5288], [0.2057, 0.5000, 0.0511], [0.2083, 0.0000, 0.0526], [0.2089, 0.0000, 0.5280], [0.2100, 0.2279, 0.7890], [0.2100, 0.7721, 0.7890], [0.3670, 0.2221, 0.2891], [0.3670, 0.7779, 0.2891], [0.4689, 0.5000, 0.7922], [0.4714, 0.0000, 0.7904], [0.5480, 0.5000, 0.4454], [0.5715, 0.5000, 0.1012], [0.7081, 0.2227, 0.6320], [0.7081, 0.7773, 0.6320], [0.7105, 0.2196, 0.9446], [0.7105, 0.7804, 0.9446], [0.7106, 0.1834, 0.2882], [0.7106, 0.8166, 0.2882], [0.8866, 0.5000, 0.4410], [0.8884, 0.5000, 0.1375], [0.9433, 0.5000, 0.7982], [0.9456, 0.0000, 0.7907], [0.5180, 0.0000, 0.1003], [0.5188, 0.0000, 0.4795], [0.8977, 0.0000, 0.4812], [0.8992, 0.0000, 0.0997]]}



{"formula": "P2PbO6", "functional": "PBE", "state": "optimized geometry", "crystal_system": "monoclinic", "sg": "P2_1/c, No. 14", "lattice": [[7.4197, 0.0000, 0.0000], [0.0000, 8.1388, 0.0000], [-0.3286, 0.0000, 17.7221]], "species": ["P", "P", "P", "P", "P", "P", "P", "P", "P", "P", "P", "P", "P", "P", "P", "P", "Pb", "Pb", "Pb", "Pb", "Pb", "Pb", "Pb", "Pb", "O", "O", "O", "O", "O", "O", "O", "O", "O", "O", "O", "O", "O", "O", "O", "O", "O", "O", "O", "O", "O", "O", "O", "O", "O", "O", "O", "O", "O", "O", "O", "O", "O", "O", "O", "O", "O", "O", "O", "O", "O", "O", "O", "O", "O", "O", "O", "O"], "frac_coords": [[0.1302, 0.0149, 0.1915], [0.1302, 0.4851, 0.6915], [0.2497, 0.2145, 0.5896], [0.2497, 0.2855, 0.0896], [0.2635, 0.5179, 0.3565], [0.2635, 0.9821, 0.8565], [0.3622, 0.6991, 0.9583], [0.3622, 0.8009, 0.4583], [0.6378, 0.1991, 0.5417], [0.6378, 0.3009, 0.0417], [0.7365, 0.0179, 0.1435], [0.7365, 0.4821, 0.6435], [0.7503, 0.7145, 0.9104], [0.7503, 0.7855, 0.4104], [0.8698, 0.5149, 0.3085], [0.8698, 0.9851, 0.8085], [0.0247, 0.1247, 0.3981], [0.0247, 0.3753, 0.8981], [0.4828, 0.6417, 0.1743], [0.4828, 0.8583, 0.6743], [0.5172, 0.1417, 0.3257], [0.5172, 0.3583, 0.8257], [0.9753, 0.6247, 0.1019], [0.9753, 0.8753, 0.6019], [0.0796, 0.5696, 0.3131], [0.0796, 0.9304, 0.8131], [0.0992, 0.1658, 0.5356], [0.0992, 0.3342, 0.0356], [0.1525, 0.6668, 0.6792], [0.1525, 0.8332, 0.1792], [0.2018, 0.0898, 0.2635], [0.2018, 0.4102, 0.7635], [0.2120, 0.1014, 0.1178], [0.2120, 0.3986, 0.6178], [0.2520, 0.1563, 0.8853], [0.2520, 0.3437, 0.3853], [0.2628, 0.6352, 0.4299], [0.2628, 0.8648, 0.9299], [0.2830, 0.1000, 0.6553], [0.2830, 0.4000, 0.1553], [0.3104, 0.6770, 0.0390], [0.3104, 0.8230, 0.5390], [0.3273, 0.5596, 0.9034], [0.3273, 0.9404, 0.4034], [0.4179, 0.5598, 0.3068], [0.4179, 0.9402, 0.8068], [0.4274, 0.2484, 0.5417], [0.4274, 0.2516, 0.0417], [0.5726, 0.7484, 0.9583], [0.5726, 0.7516, 0.4583], [0.5821, 0.0598, 0.1932], [0.5821, 0.4402, 0.6932], [0.6727, 0.0596, 0.5966], [0.6727, 0.4404, 0.0966], [0.6896, 0.1770, 0.4610], [0.6896, 0.3230, 0.9610], [0.7170, 0.6000, 0.8447], [0.7170, 0.9000, 0.3447], [0.7372, 0.1352, 0.0701], [0.7372, 0.3648, 0.5701], [0.7480, 0.6563, 0.6147], [0.7480, 0.8437, 0.1147], [0.7880, 0.6014, 0.3822], [0.7880, 0.8986, 0.8822], [0.7982, 0.5898, 0.2365], [0.7982, 0.9102, 0.7365], [0.8475, 0.1668, 0.8208], [0.8475, 0.3332, 0.3208], [0.9008, 0.6658, 0.9644], [0.9008, 0.8342, 0.4644], [0.9204, 0.0696, 0.1869], [0.9204, 0.4304, 0.6869]]}



{"formula": "PaTc2Sn", "functional": "PBE", "state": "optimized geometry", "crystal_system": "cubic", "sg": "Fm-3m, No. 225", "lattice": [[0.0000, 3.3553, 3.3553], [3.3553, 0.0000, 3.3553], [3.3553, 3.3553, 0.0000]], "species": ["Pa", "Tc", "Tc", "Sn"], "frac_coords": [[0.0000, 0.0000, 0.0000], [0.2500, 0.2500, 0.2500], [0.7500, 0.7500, 0.7500], [0.5000, 0.5000, 0.5000]]}



{"formula": "LiCuCO3", "functional": "PBE", "state": "optimized geometry", "crystal_system": "orthorhombic", "polymorph_energy_ev_per_atom": 0.004, "sg": "Cmme, No. 67", "lattice": [[2.6514, -3.1267, 0.0000], [2.6514, 3.1267, 0.0000], [0.0000, 0.0000, 8.7982]], "species": ["Li", "Li", "Cu", "Cu", "C", "C", "O", "O", "O", "O", "O", "O"], "frac_coords": [[0.2500, 0.7500, 0.8621], [0.7500, 0.2500, 0.1379], [0.0000, 0.5000, 0.5000], [0.5000, 0.0000, 0.5000], [0.2500, 0.7500, 0.2162], [0.7500, 0.2500, 0.7838], [0.0333, 0.5333, 0.2896], [0.2500, 0.7500, 0.0734], [0.4667, 0.9667, 0.2896], [0.5333, 0.0333, 0.7104], [0.7500, 0.2500, 0.9266], [0.9667, 0.4667, 0.7104]]}



{"formula": "PmTl3", "functional": "PBE", "state": "optimized geometry", "crystal_system": "cubic", "sg": "Pm-3m, No. 221", "lattice": [[4.8255, 0.0000, 0.0000], [0.0000, 4.8255, 0.0000], [0.0000, 0.0000, 4.8255]], "species": ["Pm", "Tl", "Tl", "Tl"], "frac_coords": [[0.0000, 0.0000, 0.0000], [0.0000, 0.5000, 0.5000], [0.5000, 0.0000, 0.5000], [0.5000, 0.5000, 0.0000]]}



These records have E_form values of 353 -2256 -2488 -227 -1681 -309 meV/atom, in the order they appear.